# 1
A plane-wave DFT calculation with PBE was carried out for ZnS after structural relaxation.

- Raw total energy: -0.1115 hartree per atom
- Magnetic moment: 0.000 μB/atom

Unit cell a=13.0894 b=13.3954 c=13.9374 alpha=88.56 beta=86.68 gamma=89.86
Closest atoms and distances in Å follow each position.
Space group P1 (No. 1)
Asymmetric unit:
Zn 0.0000 0.0000 0.0000 (multiplicity 1)  2 S 2.28-2.38, 1 Zn 2.56
Zn 0.9997 0.8172 0.3705 (multiplicity 1)  3 S 2.27-2.36
Zn 0.0778 0.2526 0.7443 (multiplicity 1)  2 S 2.29-2.37, 1 Zn 2.54
Zn 0.0968 0.6384 0.0534 (multiplicity 1)  2 S 2.33-2.37, 1 Zn 2.38
Zn 0.1506 0.3884 0.0378 (multiplicity 1)  1 S 2.22, 1 Zn 2.38
Zn 0.1622 0.1226 0.3071 (multiplicity 1)  3 S 2.27-2.37
Zn 0.2097 0.3731 0.5631 (multiplicity 1)  3 S 2.26-2.40
Zn 0.2138 0.9828 0.8278 (multiplicity 1)  3 S 2.29-2.41
Zn 0.2161 0.2659 0.9301 (multiplicity 1)  2 S 2.38-2.47, 1 Zn 2.38
Zn 0.2232 0.5837 0.8610 (multiplicity 1)  3 S 2.24-2.42
Zn 0.2289 0.0702 0.5635 (multiplicity 1)  3 S 2.27-2.30
Zn 0.2384 0.3918 0.7653 (multiplicity 1)  4 Zn 2.82-2.93, 1 S 2.95
Zn 0.2571 0.4711 0.2355 (multiplicity 1)  2 S 2.17-2.21
Zn 0.2680 0.6893 0.0731 (multiplicity 1)  2 S 2.32-2.46, 1 Zn 2.38
Zn 0.2885 0.8006 0.3315 (multiplicity 1)  3 S 2.27-2.34
Zn 0.3052 0.9559 0.1152 (multiplicity 1)  2 S 2.25-2.38
Zn 0.3702 0.6410 0.6900 (multiplicity 1)  2 S 2.15-2.18
Zn 0.4028 0.1185 0.7674 (multiplicity 1)  3 S 2.28-2.38
Zn 0.4204 0.9825 0.4380 (multiplicity 1)  4 S 2.36-2.44
Zn 0.4275 0.0703 0.0121 (multiplicity 1)  2 S 2.33-2.35, 2 Zn 2.48-2.57
Zn 0.4316 0.2547 0.5460 (multiplicity 1)  3 S 2.25-2.32
Zn 0.4342 0.0751 0.1897 (multiplicity 1)  2 S 2.34-2.36, 2 Zn 2.48-2.60
Zn 0.4510 0.4658 0.3920 (multiplicity 1)  3 S 2.24-2.29
Zn 0.5007 0.5669 0.8635 (multiplicity 1)  3 S 2.28-2.41
Zn 0.5238 0.3009 0.8318 (multiplicity 1)  4 S 2.31-2.41
Zn 0.5244 0.3850 0.1720 (multiplicity 1)  2 S 2.34-2.39, 1 Zn 2.37
Zn 0.5486 0.9026 0.8773 (multiplicity 1)  3 S 2.30-2.39
Zn 0.5523 0.8063 0.3675 (multiplicity 1)  4 S 2.32-2.55
Zn 0.5827 0.4545 0.6250 (multiplicity 1)  3 S 2.37-2.48, 1 Zn 2.64
Zn 0.5872 0.1388 0.3754 (multiplicity 1)  3 S 2.25-2.46
Zn 0.6005 0.8307 0.0945 (multiplicity 1)  3 S 2.27-2.42
Zn 0.6494 0.0927 0.1938 (multiplicity 1)  4 S 2.29-2.54
Zn 0.6663 0.3872 0.0581 (multiplicity 1)  1 Zn 2.37, 1 S 2.52
Zn 0.7249 0.4329 0.7513 (multiplicity 1)  2 S 2.29-2.33, 1 Zn 2.52
Zn 0.7380 0.5029 0.3832 (multiplicity 1)  3 S 2.26-2.33
Zn 0.7512 0.3438 0.5948 (multiplicity 1)  2 S 2.32-2.37, 1 Zn 2.52
Zn 0.7587 0.7476 0.2379 (multiplicity 1)  3 S 2.23-2.35
Zn 0.7920 0.0724 0.6932 (multiplicity 1)  3 S 2.29-2.32
Zn 0.8005 0.7576 0.9448 (multiplicity 1)  2 S 2.35-2.48, 1 Zn 2.57
Zn 0.8044 0.0387 0.9863 (multiplicity 1)  1 S 2.34, 1 Zn 2.56
Zn 0.8184 0.8533 0.4903 (multiplicity 1)  3 S 2.22-2.35
Zn 0.8653 0.3021 0.2860 (multiplicity 1)  4 S 2.35-2.50
Zn 0.9064 0.0787 0.3626 (multiplicity 1)  3 S 2.25-2.34
Zn 0.9164 0.6156 0.8824 (multiplicity 1)  2 S 2.29-2.40
Zn 0.9355 0.0872 0.8498 (multiplicity 1)  3 S 2.40-2.45, 2 Zn 2.56
Zn 0.9594 0.6216 0.2570 (multiplicity 1)  4 S 2.31-2.46
Zn 0.9942 0.3539 0.8788 (multiplicity 1)  2 S 2.36-2.58, 2 Zn 2.54-2.56
Zn 0.9949 0.4239 0.7063 (multiplicity 1)  2 S 2.28-2.30
Zn 0.9967 0.7940 0.8811 (multiplicity 1)  2 S 2.22-2.23
Zn 0.9989 0.2981 0.5008 (multiplicity 1)  5 S 2.39-2.64
S 0.0174 0.2162 0.3502 (multiplicity 1)  4 Zn 2.33-2.50
S 0.0242 0.0347 0.1567 (multiplicity 1)  1 S 2.11, 1 Zn 2.28
S 0.0591 0.4544 0.5530 (multiplicity 1)  3 Zn 2.26-2.39
S 0.0618 0.5227 0.9334 (multiplicity 1)  5 Zn 2.37-2.60
S 0.1156 0.1311 0.8639 (multiplicity 1)  4 Zn 2.37-2.47
S 0.1174 0.4005 0.1951 (multiplicity 1)  2 Zn 2.17-2.22
S 0.1204 0.5936 0.3114 (multiplicity 1)  1 S 2.12, 1 Zn 2.31
S 0.1217 0.8810 0.9401 (multiplicity 1)  3 Zn 2.22-2.38
S 0.1357 0.2104 0.5925 (multiplicity 1)  4 Zn 2.27-2.53
S 0.1395 0.7218 0.3949 (multiplicity 1)  1 S 2.12, 2 Zn 2.27-2.34
S 0.1784 0.0814 0.1429 (multiplicity 1)  1 S 2.11, 1 Zn 2.37
S 0.2072 0.6546 0.7151 (multiplicity 1)  2 Zn 2.15-2.24
S 0.2435 0.0188 0.4087 (multiplicity 1)  3 Zn 2.27-2.42
S 0.3150 0.0025 0.6886 (multiplicity 1)  3 Zn 2.28-2.30
S 0.3343 0.3482 0.4468 (multiplicity 1)  3 Zn 2.26-2.28
S 0.3430 0.8021 0.1707 (multiplicity 1)  3 Zn 2.25-2.32
S 0.3550 0.5734 0.9614 (multiplicity 1)  3 Zn 2.28-2.46
S 0.3804 0.9346 0.9233 (multiplicity 1)  2 Zn 2.30-2.33
S 0.3878 0.2079 0.9134 (multiplicity 1)  4 Zn 2.35-2.39
S 0.3953 0.8084 0.4536 (multiplicity 1)  3 Zn 2.27-2.36
S 0.4208 0.5121 0.2370 (multiplicity 1)  3 Zn 2.21-2.34
S 0.4460 0.3454 0.6845 (multiplicity 1)  3 Zn 2.32-2.41
S 0.5088 0.1071 0.5211 (multiplicity 1)  3 Zn 2.25-2.39
S 0.5125 0.2200 0.2405 (multiplicity 1)  4 Zn 2.34-2.54
S 0.5328 0.6119 0.7050 (multiplicity 1)  2 Zn 2.18-2.29
S 0.5360 0.9817 0.2940 (multiplicity 1)  5 Zn 2.36-2.55
S 0.5764 0.1570 0.7420 (multiplicity 1)  1 S 2.12, 1 Zn 2.34
S 0.5853 0.5226 0.4665 (multiplicity 1)  3 Zn 2.24-2.37
S 0.5914 0.7253 0.2249 (multiplicity 1)  3 Zn 2.23-2.32
S 0.6166 0.4305 0.8902 (multiplicity 1)  4 Zn 2.31-2.52
S 0.6211 0.7615 0.9417 (multiplicity 1)  3 Zn 2.30-2.35
S 0.6409 0.0040 0.0559 (multiplicity 1)  3 Zn 2.29-2.42
S 0.6434 0.8881 0.4823 (multiplicity 1)  1 S 2.15, 2 Zn 2.34-2.35
S 0.6511 0.0275 0.7933 (multiplicity 1)  1 S 2.12, 1 Zn 2.32
S 0.6993 0.8015 0.6003 (multiplicity 1)  1 S 2.15, 1 Zn 2.22
S 0.7624 0.1505 0.3022 (multiplicity 1)  4 Zn 2.31-2.46
S 0.7913 0.2358 0.9858 (multiplicity 1)  2 S 2.07-2.14
S 0.8042 0.5420 0.2282 (multiplicity 1)  1 S 2.13, 2 Zn 2.33-2.36
S 0.8185 0.2281 0.8335 (multiplicity 1)  1 S 2.14
S 0.8312 0.3744 0.4397 (multiplicity 1)  3 Zn 2.26-2.39
S 0.8457 0.4103 0.1530 (multiplicity 1)  1 S 2.13, 1 Zn 2.35
S 0.8487 0.8188 0.1022 (multiplicity 1)  1 S 2.14, 1 Zn 2.35
S 0.8508 0.7186 0.3703 (multiplicity 1)  4 Zn 2.29-2.51
S 0.8643 0.2158 0.6274 (multiplicity 1)  2 Zn 2.29-2.32
S 0.8663 0.5326 0.7517 (multiplicity 1)  3 Zn 2.29-2.30
S 0.8803 0.8387 0.7776 (multiplicity 1)  1 S 2.10, 1 Zn 2.23
S 0.9339 0.9757 0.7174 (multiplicity 1)  1 S 2.10, 1 Zn 2.30
S 0.9379 0.2692 0.0226 (multiplicity 1)  1 S 2.07
S 0.9570 0.9532 0.4587 (multiplicity 1)  3 Zn 2.25-2.27
S 0.9928 0.7536 0.1352 (multiplicity 1)  1 S 2.14, 1 Zn 2.33



# 2
A plane-wave DFT calculation with PBE was carried out for ZnS after structural relaxation.

- Raw total energy: -0.1290 hartree per atom

Unit cell a=3.8522 b=3.8522 c=44.0851 alpha=90.00 beta=90.00 gamma=120.00
Closest atoms and distances in Å follow each position.
Space group P3m1 (No. 156)
Asymmetric unit:
Zn 0.0000 0.0000 0.0000 (multiplicity 1)  4 S 2.36
Zn 0.0000 0.0000 0.1429 (multiplicity 1)  4 S 2.36
Zn 0.0000 0.0000 0.3571 (multiplicity 1)  4 S 2.36
Zn 0.0000 0.0000 0.5714 (multiplicity 1)  4 S 2.36
Zn 0.0000 0.0000 0.7143 (multiplicity 1)  4 S 2.36
Zn 0.3333 0.6667 0.0714 (multiplicity 1)  4 S 2.36
Zn 0.3333 0.6667 0.2857 (multiplicity 1)  4 S 2.36
Zn 0.3333 0.6667 0.4286 (multiplicity 1)  4 S 2.36
Zn 0.3333 0.6667 0.6429 (multiplicity 1)  4 S 2.36
Zn 0.3333 0.6667 0.8571 (multiplicity 1)  4 S 2.36
Zn 0.6667 0.3333 0.2143 (multiplicity 1)  4 S 2.36
Zn 0.6667 0.3333 0.5000 (multiplicity 1)  4 S 2.36
Zn 0.6667 0.3333 0.7857 (multiplicity 1)  4 S 2.36
Zn 0.6667 0.3333 0.9286 (multiplicity 1)  4 S 2.36
S 0.0000 0.0000 0.0535 (multiplicity 1)  4 Zn 2.36
S 0.0000 0.0000 0.1964 (multiplicity 1)  4 Zn 2.36
S 0.0000 0.0000 0.4108 (multiplicity 1)  4 Zn 2.36
S 0.0000 0.0000 0.6250 (multiplicity 1)  4 Zn 2.36
S 0.0000 0.0000 0.7678 (multiplicity 1)  4 Zn 2.36
S 0.3333 0.6667 0.1250 (multiplicity 1)  4 Zn 2.36
S 0.3333 0.6667 0.3392 (multiplicity 1)  4 Zn 2.36
S 0.3333 0.6667 0.4821 (multiplicity 1)  4 Zn 2.36
S 0.3333 0.6667 0.6965 (multiplicity 1)  4 Zn 2.36
S 0.3333 0.6667 0.9108 (multiplicity 1)  4 Zn 2.36
S 0.6667 0.3333 0.2678 (multiplicity 1)  4 Zn 2.36
S 0.6667 0.3333 0.5536 (multiplicity 1)  4 Zn 2.36
S 0.6667 0.3333 0.8392 (multiplicity 1)  4 Zn 2.36
S 0.6667 0.3333 0.9821 (multiplicity 1)  4 Zn 2.36



The following ΔH_f (0 K) values (in eV per atom) correspond, in order, to the records above: -0.59, -1.06.